(1)
A plane-wave DFT calculation with PBE+U was carried out for AlFeO3 after structural relaxation.

- total energy after the MP2020 corrections (eV/cell) = -154.9
- space group = No. 1
- magnetization (μB per formula unit) = 4.500
- uncorrected energy (Ry/atom) = -0.50562

Geometry as CIF:
```
data_AlFeO3
_space_group_name_H-M_alt 'P 1'
_space_group_IT_number 1
_cell_length_a 4.975
_cell_length_b 5.000
_cell_length_c 7.945
_cell_angle_alpha 88.66
_cell_angle_beta 89.66
_cell_angle_gamma 89.61
loop_
_space_group_symop_operation_xyz
'x,y,z'
loop_
_atom_site_label
_atom_site_fract_x
_atom_site_fract_y
_atom_site_fract_z
_atom_site_occupancy
Al1 0.000 0.000 0.000 1
Al2 0.025 0.020 0.483 1
Al3 0.493 0.517 0.496 1
Al4 0.531 0.503 0.987 1
Fe1 0.012 0.510 0.741 1
Fe2 0.013 0.511 0.241 1
Fe3 0.512 0.011 0.241 1
Fe4 0.513 0.010 0.741 1
O1 0.154 0.369 0.495 1
O2 0.169 0.179 0.163 1
O3 0.176 0.171 0.828 1
O4 0.354 0.681 0.148 1
O5 0.359 0.675 0.813 1
O6 0.362 0.864 0.481 1
O7 0.663 0.157 0.001 1
O8 0.667 0.342 0.668 1
O9 0.670 0.343 0.333 1
O10 0.849 0.847 0.654 1
O11 0.857 0.845 0.318 1
O12 0.871 0.651 0.988 1
```


(2)
A plane-wave DFT calculation with PBE+U was carried out for Al4Fe3O12 after structural relaxation.

- total energy after the MP2020 corrections (eV/cell) = -287.4
- space group = No. 1
- ΔE to the lowest computed polymorph (meV/atom) = 0
- magnetization (μB per formula unit) = 12.993
- uncorrected energy (Ry/atom) = -0.49772

Geometry as CIF:
```
data_Al4Fe3O12
_space_group_name_H-M_alt 'P 1'
_space_group_IT_number 1
_cell_length_a 5.779
_cell_length_b 5.784
_cell_length_c 14.226
_cell_angle_alpha 89.93
_cell_angle_beta 89.82
_cell_angle_gamma 60.05
loop_
_space_group_symop_operation_xyz
'x,y,z'
loop_
_atom_site_label
_atom_site_fract_x
_atom_site_fract_y
_atom_site_fract_z
_atom_site_occupancy
Al1 0.000 0.000 0.000 1
Al2 0.000 0.495 0.001 1
Al3 0.168 0.161 0.328 1
Al4 0.333 0.332 0.661 1
Al5 0.335 0.829 0.660 1
Al6 0.503 0.496 0.000 1
Al7 0.512 0.988 0.495 1
Al8 0.675 0.160 0.327 1
Fe1 0.163 0.666 0.834 1
Fe2 0.168 0.667 0.211 1
Fe3 0.171 0.667 0.453 1
Fe4 0.501 0.997 0.117 1
Fe5 0.826 0.333 0.534 1
Fe6 0.841 0.327 0.791 1
O1 0.034 0.467 0.252 1
O2 0.047 0.477 0.748 1
O3 0.048 0.971 0.748 1
O4 0.159 0.167 0.062 1
O5 0.165 0.667 0.074 1
O6 0.187 0.155 0.581 1
O7 0.199 0.648 0.587 1
O8 0.310 0.380 0.921 1
O9 0.310 0.805 0.921 1
O10 0.324 0.874 0.415 1
O11 0.352 0.297 0.409 1
O12 0.480 0.508 0.739 1
O13 0.483 0.006 0.726 1
O14 0.486 0.033 0.252 1
O15 0.501 0.468 0.252 1
O16 0.625 0.176 0.576 1
O17 0.630 0.691 0.575 1
O18 0.672 0.168 0.062 1
O19 0.672 0.654 0.063 1
O20 0.810 0.870 0.417 1
O21 0.833 0.331 0.925 1
O22 0.846 0.310 0.401 1
O23 0.880 0.807 0.921 1
O24 0.997 0.010 0.259 1
```


(3)
A plane-wave DFT calculation with PBE+U was carried out for Al5Fe3O12 after structural relaxation.

- total energy after the MP2020 corrections (eV/cell) = -315.8
- space group = No. 12
- ΔE to the lowest computed polymorph (meV/atom) = 0
- magnetization (μB per formula unit) = 15.001
- uncorrected energy (Ry/atom) = -0.52504

Geometry as CIF:
```
data_Al5Fe3O12
_space_group_name_H-M_alt 'P 1'
_space_group_IT_number 1
_cell_length_a 5.777
_cell_length_b 5.777
_cell_length_c 14.091
_cell_angle_alpha 90.08
_cell_angle_beta 90.08
_cell_angle_gamma 59.96
loop_
_space_group_symop_operation_xyz
'x,y,z'
loop_
_atom_site_label
_atom_site_fract_x
_atom_site_fract_y
_atom_site_fract_z
_atom_site_occupancy
Al1 0.000 0.500 0.000 1
Al2 0.164 0.164 0.663 1
Al3 0.164 0.672 0.663 1
Al4 0.328 0.836 0.337 1
Al5 0.340 0.340 0.838 1
Al6 0.500 0.000 0.000 1
Al7 0.660 0.660 0.162 1
Al8 0.672 0.164 0.663 1
Al9 0.836 0.328 0.337 1
Al10 0.836 0.836 0.337 1
Fe1 0.005 0.005 0.122 1
Fe2 0.330 0.330 0.207 1
Fe3 0.334 0.334 0.453 1
Fe4 0.666 0.666 0.547 1
Fe5 0.670 0.670 0.793 1
Fe6 0.995 0.995 0.878 1
O1 0.000 0.000 0.261 1
O2 0.000 0.000 0.739 1
O3 0.040 0.478 0.746 1
O4 0.156 0.638 0.914 1
O5 0.161 0.161 0.401 1
O6 0.161 0.678 0.401 1
O7 0.181 0.181 0.921 1
O8 0.321 0.321 0.076 1
O9 0.322 0.839 0.599 1
O10 0.334 0.334 0.594 1
O11 0.362 0.844 0.086 1
O12 0.478 0.040 0.746 1
O13 0.483 0.483 0.748 1
O14 0.517 0.517 0.252 1
O15 0.522 0.960 0.254 1
O16 0.638 0.156 0.914 1
O17 0.666 0.666 0.406 1
O18 0.678 0.161 0.401 1
O19 0.679 0.679 0.924 1
O20 0.819 0.819 0.079 1
O21 0.839 0.322 0.599 1
O22 0.839 0.839 0.599 1
O23 0.844 0.362 0.086 1
O24 0.960 0.522 0.254 1
```


(4)
A plane-wave DFT calculation with PBE+U was carried out for Al4Fe3O12 after structural relaxation.

- total energy after the MP2020 corrections (eV/cell) = -286.8
- space group = No. 8
- ΔE to the lowest computed polymorph (meV/atom) = 14
- magnetization (μB per formula unit) = 12.001
- uncorrected energy (Ry/atom) = -0.49669

Geometry as CIF:
```
data_Al4Fe3O12
_space_group_name_H-M_alt 'P 1'
_space_group_IT_number 1
_cell_length_a 5.694
_cell_length_b 5.694
_cell_length_c 14.099
_cell_angle_alpha 90.92
_cell_angle_beta 90.92
_cell_angle_gamma 62.41
loop_
_space_group_symop_operation_xyz
'x,y,z'
loop_
_atom_site_label
_atom_site_fract_x
_atom_site_fract_y
_atom_site_fract_z
_atom_site_occupancy
Al1 0.000 0.000 0.000 1
Al2 0.002 0.002 0.380 1
Al3 0.020 0.020 0.757 1
Al4 0.172 0.172 0.208 1
Al5 0.328 0.328 0.677 1
Al6 0.348 0.348 0.418 1
Al7 0.675 0.675 0.717 1
Al8 0.678 0.678 0.097 1
Fe1 0.016 0.505 0.887 1
Fe2 0.174 0.674 0.211 1
Fe3 0.342 0.837 0.548 1
Fe4 0.505 0.016 0.887 1
Fe5 0.674 0.174 0.211 1
Fe6 0.837 0.342 0.548 1
O1 0.009 0.498 0.143 1
O2 0.012 0.012 0.128 1
O3 0.019 0.019 0.625 1
O4 0.163 0.670 0.958 1
O5 0.166 0.166 0.954 1
O6 0.168 0.168 0.458 1
O7 0.182 0.691 0.456 1
O8 0.288 0.865 0.289 1
O9 0.330 0.330 0.291 1
O10 0.332 0.332 0.803 1
O11 0.365 0.850 0.793 1
O12 0.498 0.009 0.143 1
O13 0.500 0.988 0.635 1
O14 0.506 0.506 0.141 1
O15 0.507 0.507 0.638 1
O16 0.659 0.659 0.483 1
O17 0.670 0.163 0.958 1
O18 0.691 0.182 0.456 1
O19 0.692 0.692 0.968 1
O20 0.840 0.840 0.792 1
O21 0.850 0.365 0.793 1
O22 0.856 0.856 0.290 1
O23 0.865 0.288 0.289 1
O24 0.988 0.500 0.635 1
```


(5)
A plane-wave DFT calculation with PBE+U was carried out for AlFeO3 after structural relaxation.

- total energy after the MP2020 corrections (eV/cell) = -317.4
- space group = No. 33
- magnetization (μB per formula unit) = 5.000
- uncorrected energy (Ry/atom) = -0.51974

Geometry as CIF:
```
data_AlFeO3
_space_group_name_H-M_alt 'P 1'
_space_group_IT_number 1
_cell_length_a 5.044
_cell_length_b 8.669
_cell_length_c 9.377
_cell_angle_alpha 90.00
_cell_angle_beta 90.00
_cell_angle_gamma 90.00
loop_
_space_group_symop_operation_xyz
'x,y,z'
loop_
_atom_site_label
_atom_site_fract_x
_atom_site_fract_y
_atom_site_fract_z
_atom_site_occupancy
Al1 0.169 0.155 0.000 1
Al2 0.182 0.837 0.801 1
Al3 0.318 0.337 0.301 1
Al4 0.331 0.655 0.500 1
Al5 0.669 0.345 0.000 1
Al6 0.682 0.663 0.801 1
Al7 0.818 0.163 0.301 1
Al8 0.831 0.845 0.500 1
Fe1 0.168 0.471 0.799 1
Fe2 0.184 0.149 0.579 1
Fe3 0.316 0.649 0.079 1
Fe4 0.332 0.971 0.299 1
Fe5 0.668 0.029 0.799 1
Fe6 0.684 0.351 0.579 1
Fe7 0.816 0.851 0.079 1
Fe8 0.832 0.529 0.299 1
O1 0.000 0.326 0.941 1
O2 0.000 0.674 0.441 1
O3 0.003 0.990 0.927 1
O4 0.019 0.680 0.914 1
O5 0.146 0.166 0.193 1
O6 0.164 0.831 0.170 1
O7 0.166 0.492 0.200 1
O8 0.334 0.992 0.700 1
O9 0.336 0.331 0.670 1
O10 0.354 0.666 0.693 1
O11 0.481 0.180 0.414 1
O12 0.497 0.490 0.427 1
O13 0.500 0.174 0.941 1
O14 0.500 0.826 0.441 1
O15 0.503 0.510 0.927 1
O16 0.519 0.820 0.914 1
O17 0.646 0.334 0.193 1
O18 0.664 0.669 0.170 1
O19 0.666 0.008 0.200 1
O20 0.834 0.508 0.700 1
O21 0.836 0.169 0.670 1
O22 0.854 0.834 0.693 1
O23 0.981 0.320 0.414 1
O24 0.997 0.010 0.427 1
```


(6)
A plane-wave DFT calculation with PBE+U was carried out for Al2FeP2O16 after structural relaxation.

- total energy after the MP2020 corrections (eV/cell) = -267.8
- space group = No. 2
- magnetization (μB per formula unit) = 10.001
- uncorrected energy (Ry/atom) = -0.46081

Geometry as CIF:
```
data_Al2FeP2O16
_space_group_name_H-M_alt 'P 1'
_space_group_IT_number 1
_cell_length_a 6.127
_cell_length_b 9.002
_cell_length_c 11.089
_cell_angle_alpha 103.32
_cell_angle_beta 97.09
_cell_angle_gamma 92.64
loop_
_space_group_symop_operation_xyz
'x,y,z'
loop_
_atom_site_label
_atom_site_fract_x
_atom_site_fract_y
_atom_site_fract_z
_atom_site_occupancy
Al1 0.000 0.000 0.000 1
Al2 0.186 0.196 0.811 1
Al3 0.500 0.500 0.000 1
Al4 0.814 0.804 0.189 1
Fe1 0.000 0.500 0.000 1
Fe2 0.000 0.500 0.500 1
P1 0.207 0.497 0.760 1
P2 0.306 0.814 0.135 1
P3 0.694 0.186 0.865 1
P4 0.793 0.503 0.240 1
O1 0.011 0.544 0.834 1
O2 0.106 0.018 0.852 1
O3 0.127 0.832 0.225 1
O4 0.152 0.908 0.567 1
O5 0.179 0.321 0.700 1
O6 0.182 0.197 0.086 1
O7 0.193 0.577 0.648 1
O8 0.235 0.350 0.957 1
O9 0.250 0.273 0.353 1
O10 0.252 0.905 0.035 1
O11 0.268 0.430 0.410 1
O12 0.291 0.639 0.067 1
O13 0.317 0.886 0.514 1
O14 0.366 0.233 0.268 1
O15 0.429 0.542 0.844 1
O16 0.465 0.141 0.791 1
O17 0.535 0.859 0.209 1
O18 0.571 0.458 0.156 1
O19 0.634 0.767 0.732 1
O20 0.683 0.114 0.486 1
O21 0.709 0.361 0.933 1
O22 0.732 0.570 0.590 1
O23 0.748 0.095 0.965 1
O24 0.750 0.727 0.647 1
O25 0.765 0.650 0.043 1
O26 0.807 0.423 0.352 1
O27 0.818 0.803 0.914 1
O28 0.821 0.679 0.300 1
O29 0.848 0.092 0.433 1
O30 0.873 0.168 0.775 1
O31 0.894 0.982 0.148 1
O32 0.989 0.456 0.166 1
```


(7)
A plane-wave DFT calculation with PBE+U was carried out for Al2Fe3P3O15 after structural relaxation.

- total energy after the MP2020 corrections (eV/cell) = -717.6
- space group = No. 14
- magnetization (μB per formula unit) = 15.000
- uncorrected energy (Ry/atom) = -0.51877

Geometry as CIF:
```
data_Al2Fe3P3O15
_space_group_name_H-M_alt 'P 1'
_space_group_IT_number 1
_cell_length_a 7.225
_cell_length_b 10.480
_cell_length_c 16.134
_cell_angle_alpha 90.00
_cell_angle_beta 99.05
_cell_angle_gamma 90.00
loop_
_space_group_symop_operation_xyz
'x,y,z'
loop_
_atom_site_label
_atom_site_fract_x
_atom_site_fract_y
_atom_site_fract_z
_atom_site_occupancy
Al1 0.135 0.173 0.316 1
Al2 0.135 0.327 0.816 1
Al3 0.140 0.178 0.990 1
Al4 0.140 0.322 0.490 1
Al5 0.860 0.678 0.510 1
Al6 0.860 0.822 0.010 1
Al7 0.865 0.673 0.184 1
Al8 0.865 0.827 0.684 1
Fe1 0.469 0.137 0.787 1
Fe2 0.469 0.363 0.287 1
Fe3 0.485 0.136 0.458 1
Fe4 0.485 0.150 0.130 1
Fe5 0.485 0.350 0.630 1
Fe6 0.485 0.364 0.958 1
Fe7 0.515 0.636 0.042 1
Fe8 0.515 0.650 0.370 1
Fe9 0.515 0.850 0.870 1
Fe10 0.515 0.864 0.542 1
Fe11 0.531 0.637 0.713 1
Fe12 0.531 0.863 0.213 1
P1 0.262 0.604 0.855 1
P2 0.262 0.896 0.355 1
P3 0.276 0.596 0.179 1
P4 0.276 0.904 0.679 1
P5 0.278 0.596 0.522 1
P6 0.278 0.904 0.022 1
P7 0.722 0.096 0.978 1
P8 0.722 0.404 0.478 1
P9 0.724 0.096 0.321 1
P10 0.724 0.404 0.821 1
P11 0.738 0.104 0.645 1
P12 0.738 0.396 0.145 1
O1 0.106 0.671 0.540 1
O2 0.106 0.829 0.040 1
O3 0.110 0.676 0.200 1
O4 0.110 0.686 0.876 1
O5 0.110 0.814 0.376 1
O6 0.110 0.824 0.700 1
O7 0.214 0.015 0.299 1
O8 0.214 0.485 0.799 1
O9 0.219 0.018 0.964 1
O10 0.219 0.482 0.464 1
O11 0.232 0.206 0.426 1
O12 0.232 0.294 0.926 1
O13 0.235 0.009 0.617 1
O14 0.235 0.491 0.117 1
O15 0.245 0.211 0.766 1
O16 0.245 0.289 0.266 1
O17 0.251 0.197 0.092 1
O18 0.251 0.303 0.592 1
O19 0.393 0.547 0.939 1
O20 0.393 0.552 0.267 1
O21 0.393 0.948 0.767 1
O22 0.393 0.953 0.439 1
O23 0.397 0.548 0.606 1
O24 0.397 0.952 0.106 1
O25 0.409 0.682 0.811 1
O26 0.409 0.818 0.311 1
O27 0.411 0.686 0.480 1
O28 0.411 0.814 0.980 1
O29 0.417 0.694 0.144 1
O30 0.417 0.806 0.644 1
O31 0.583 0.194 0.356 1
O32 0.583 0.306 0.856 1
O33 0.589 0.186 0.020 1
O34 0.589 0.314 0.520 1
O35 0.591 0.182 0.689 1
O36 0.591 0.318 0.189 1
O37 0.603 0.048 0.894 1
O38 0.603 0.452 0.394 1
O39 0.607 0.047 0.561 1
O40 0.607 0.052 0.233 1
O41 0.607 0.448 0.733 1
O42 0.607 0.453 0.061 1
O43 0.749 0.697 0.408 1
O44 0.749 0.803 0.908 1
O45 0.755 0.711 0.734 1
O46 0.755 0.789 0.234 1
O47 0.765 0.509 0.883 1
O48 0.765 0.991 0.383 1
O49 0.768 0.706 0.074 1
O50 0.768 0.794 0.574 1
O51 0.781 0.518 0.536 1
O52 0.781 0.982 0.036 1
O53 0.786 0.515 0.201 1
O54 0.786 0.985 0.701 1
O55 0.890 0.176 0.300 1
O56 0.890 0.186 0.624 1
O57 0.890 0.314 0.124 1
O58 0.890 0.324 0.800 1
O59 0.894 0.171 0.960 1
O60 0.894 0.329 0.460 1
```


(8)
A plane-wave DFT calculation with PBE+U was carried out for Al4Fe13Si2Sb2O28 after structural relaxation.

- total energy after the MP2020 corrections (eV/cell) = -380.3
- space group = No. 12
- magnetization (μB per formula unit) = 10.676
- uncorrected energy (Ry/atom) = -0.49766

Geometry as CIF:
```
data_Al4Fe13Si2Sb2O28
_space_group_name_H-M_alt 'P 1'
_space_group_IT_number 1
_cell_length_a 11.817
_cell_length_b 11.817
_cell_length_c 9.055
_cell_angle_alpha 92.44
_cell_angle_beta 92.44
_cell_angle_gamma 152.72
loop_
_space_group_symop_operation_xyz
'x,y,z'
loop_
_atom_site_label
_atom_site_fract_x
_atom_site_fract_y
_atom_site_fract_z
_atom_site_occupancy
Al1 0.019 0.450 0.178 1
Al2 0.450 0.019 0.178 1
Al3 0.550 0.981 0.822 1
Al4 0.981 0.550 0.822 1
Fe1 0.074 0.926 0.500 1
Fe2 0.135 0.426 0.856 1
Fe3 0.145 0.286 0.150 1
Fe4 0.213 0.787 0.500 1
Fe5 0.286 0.145 0.150 1
Fe6 0.426 0.135 0.856 1
Fe7 0.500 0.500 0.500 1
Fe8 0.574 0.865 0.144 1
Fe9 0.714 0.855 0.850 1
Fe10 0.787 0.213 0.500 1
Fe11 0.855 0.714 0.850 1
Fe12 0.865 0.574 0.144 1
Fe13 0.926 0.074 0.500 1
Si1 0.266 0.266 0.807 1
Si2 0.734 0.734 0.193 1
Sb1 0.357 0.643 0.500 1
Sb2 0.643 0.357 0.500 1
O1 0.085 0.379 0.623 1
O2 0.093 0.213 0.875 1
O3 0.103 0.518 0.382 1
O4 0.141 0.688 0.142 1
O5 0.177 0.480 0.096 1
O6 0.197 0.197 0.622 1
O7 0.213 0.093 0.875 1
O8 0.223 0.380 0.386 1
O9 0.312 0.859 0.858 1
O10 0.379 0.085 0.623 1
O11 0.380 0.223 0.386 1
O12 0.437 0.437 0.147 1
O13 0.480 0.177 0.096 1
O14 0.482 0.897 0.618 1
O15 0.518 0.103 0.382 1
O16 0.520 0.823 0.904 1
O17 0.563 0.563 0.853 1
O18 0.620 0.777 0.614 1
O19 0.621 0.915 0.377 1
O20 0.688 0.141 0.142 1
O21 0.777 0.620 0.614 1
O22 0.787 0.907 0.125 1
O23 0.803 0.803 0.378 1
O24 0.823 0.520 0.904 1
O25 0.859 0.312 0.858 1
O26 0.897 0.482 0.618 1
O27 0.907 0.787 0.125 1
O28 0.915 0.621 0.377 1
```